Record 1
! Bi14WO24 r²SCAN optimized geometry; values from VASP
&SYSTEM
  ibrav = 0, nat = 39, ntyp = 3
/
ATOMIC_SPECIES
Bi 208.98 Bi.upf
W 183.84 W.upf
O 16.00 O.upf
CELL_PARAMETERS angstrom
-8.7371 -0.0042 0.0155
-0.0079 -8.7434 -0.0129
4.3147 4.3732 8.5946
ATOMIC_POSITIONS angstrom
Bi 0.9462 -6.1495 2.9422
Bi -1.8007 -5.3757 5.7158
Bi -4.3621 -4.3385 2.7246
Bi 1.7438 -3.4604 5.7450
Bi -4.8368 -6.8815 0.0389
Bi -0.9721 -2.6383 2.9576
Bi -3.4515 -1.8007 5.7579
Bi -1.8478 -4.8755 0.0039
Bi -6.1395 -0.9971 2.9408
Bi -0.0611 -0.0187 5.8635
Bi -6.8544 -3.9002 0.0162
Bi -2.6331 0.9273 2.9890
Bi -5.3639 1.7474 5.7356
Bi 0.4480 2.5028 8.5732
W -0.0524 0.0647 0.2875
O -4.3801 -2.5910 8.3876
O -3.6976 2.1639 4.3198
O -3.2761 -5.9882 1.3598
O -5.9465 -5.4654 1.3580
O -6.5543 -5.0875 4.3075
O -0.0084 -4.4327 6.5445
O -0.0096 -4.3765 2.1025
O -2.2239 -3.7444 4.2344
O -2.8034 -3.3022 1.3621
O -5.4610 -2.8300 1.3816
O 0.6533 -2.2462 4.4195
O -5.0244 -2.2470 4.2352
O 1.0394 -1.6356 7.2847
O -1.6188 -1.0980 7.2690
O -3.0725 3.5055 8.2963
O -2.1976 -0.6816 4.4652
O -4.4409 -0.0531 6.5452
O -4.3916 -0.0108 2.1166
O 0.0116 0.0157 2.0744
O 2.1826 0.6642 4.3810
O 1.5307 1.0626 7.2393
O -1.1247 1.5156 7.2156
O -0.6736 2.1302 4.4173
O 2.7223 3.7132 8.3146
! - space group = P1 (1)
! - magnetic moment (μB/f.u.) = 0.0
! - formation energy (eV/atom) = -1.43
! - total energy (eV per atom) = -27.4245

Record 2
! Cs3Tm2I9 r²SCAN optimized geometry; values from VASP
&SYSTEM
  ibrav = 0, nat = 28, ntyp = 3
/
ATOMIC_SPECIES
Cs 132.91 Cs.upf
Tm 168.93 Tm.upf
I 126.90 I.upf
CELL_PARAMETERS angstrom
4.2361 -7.3365 -0.0010
4.2362 7.3365 0.0010
0.0001 0.0030 21.3666
ATOMIC_POSITIONS angstrom
Cs 4.2361 -2.4437 12.1464
Cs 4.2361 -7.3356 5.3409
Cs 4.2361 2.4459 1.4639
Cs 4.2362 2.4469 9.2204
Cs 4.2362 -7.3340 16.0237
Cs 4.2362 -2.4425 19.9026
Tm 4.2361 -2.4444 7.3485
Tm 4.2363 2.4483 18.0319
Tm 4.2362 2.4474 14.0178
Tm 4.2360 -2.4447 3.3352
I 4.2361 -0.0816 5.3409
I 6.3789 -1.2108 1.8335
I 2.0950 -1.2084 8.8507
I 4.2377 4.9213 19.5337
I 2.0950 1.2115 12.5158
I 2.0934 -1.2107 1.8332
I 4.2361 4.9191 12.5158
I 6.3769 1.2109 12.5153
I 6.2827 -3.6262 5.3420
I 2.1897 3.6293 16.0248
I 2.1896 -3.6269 5.3419
I 6.3770 1.2125 19.5344
I 4.2362 -4.9172 1.8318
I 6.2826 3.6291 16.0251
I 4.2361 -4.9164 8.8510
I 2.0950 1.2129 19.5348
I 6.3771 -1.2082 8.8506
I 4.2362 0.0848 16.0246
! - space group = P6_3/mmc (194)
! - magnetic moment (μB/f.u.) = 0.0
! - formation energy (eV/atom) = -1.72
! - total energy (eV per atom) = -27.9053

Record 3
! UPbI6 r²SCAN optimized geometry; values from VASP
&SYSTEM
  ibrav = 0, nat = 16, ntyp = 3
/
ATOMIC_SPECIES
U 238.03 U.upf
Pb 207.20 Pb.upf
I 126.90 I.upf
CELL_PARAMETERS angstrom
3.8164 -6.6055 0.0044
3.8343 6.6162 -0.0009
0.0030 -0.0074 14.1477
ATOMIC_POSITIONS angstrom
U 0.0015 -0.0037 7.0739
U 0.0000 0.0000 0.0000
Pb 3.8327 -2.1993 10.6155
Pb 3.8211 2.2027 3.5358
I 6.3089 2.0817 8.7912
I 1.3449 -2.0784 5.3601
I 2.7111 4.4021 8.7842
I 5.1752 0.1356 12.4407
I 4.9427 -4.3988 5.3671
I 2.4785 -0.1323 1.7106
I 2.4982 0.1188 8.7993
I 1.3576 2.0919 12.4254
I 5.1556 -0.1154 5.3520
I 6.2961 -2.0886 1.7259
I 4.9618 4.4076 12.4324
I 2.6920 -4.4043 1.7189
! - space group = C2/c (15)
! - magnetic moment (μB/f.u.) = 0.0
! - formation energy (eV/atom) = -0.97
! - total energy (eV per atom) = -36.4186

Record 4
! Ag6SnSb r²SCAN optimized geometry; values from VASP
&SYSTEM
  ibrav = 0, nat = 8, ntyp = 3
/
ATOMIC_SPECIES
Ag 107.87 Ag.upf
Sn 118.71 Sn.upf
Sb 121.76 Sb.upf
CELL_PARAMETERS angstrom
4.8052 0.0000 0.0000
0.0000 5.3029 0.0000
0.0000 0.0000 6.0246
ATOMIC_POSITIONS angstrom
Ag 2.4026 0.8494 4.5425
Ag 2.4026 0.8494 1.4820
Ag 0.0000 4.4692 4.5345
Ag 0.0000 4.4692 1.4900
Ag 0.0000 1.6953 3.0123
Ag 2.4026 3.5515 0.0000
Sn 0.0000 1.7727 0.0000
Sb 2.4026 3.5546 3.0123
! - space group = Pmm2 (25)
! - magnetic moment (μB/f.u.) = 0.0
! - formation energy (eV/atom) = 0.03
! - total energy (eV per atom) = -22.2941

Record 5
! LiCaP r²SCAN optimized geometry; values from VASP
&SYSTEM
  ibrav = 0, nat = 12, ntyp = 3
/
ATOMIC_SPECIES
Li 6.94 Li.upf
Ca 40.08 Ca.upf
P 30.97 P.upf
CELL_PARAMETERS angstrom
-4.1203 0.5993 0.3427
0.0851 -3.0524 6.3616
1.2811 6.9189 3.3026
ATOMIC_POSITIONS angstrom
Li -0.2523 2.0906 6.0427
Li -2.5017 2.3752 3.9642
Li -2.9348 -1.7199 5.9188
Li 0.1808 6.1857 4.0882
Ca -0.7374 -0.0886 4.0215
Ca -2.0167 4.5544 5.9854
Ca -2.1175 2.2539 8.7966
Ca -0.6366 2.2119 1.2103
P 0.1815 3.9949 7.9278
P -2.9355 0.4709 2.0791
P -2.5223 0.9466 6.2155
P -0.2318 3.5192 3.7914
! - space group = Pnma (62)
! - magnetic moment (μB/f.u.) = 0.0
! - formation energy (eV/atom) = -1.19
! - total energy (eV per atom) = -7.3324

Record 6
! LiCr3O8 r²SCAN optimized geometry; values from VASP
&SYSTEM
  ibrav = 0, nat = 24, ntyp = 3
/
ATOMIC_SPECIES
Li 6.94 Li.upf
Cr 52.00 Cr.upf
O 16.00 O.upf
CELL_PARAMETERS angstrom
2.9927 -4.5603 0.0000
4.9466 -0.0154 6.2541
-4.9449 0.0162 6.0893
ATOMIC_POSITIONS angstrom
Li -1.9522 -4.5438 6.0893
Li 2.9936 -4.5596 6.1717
Cr 0.0004 0.0002 3.0859
Cr 0.0012 0.0005 9.2575
Cr 0.5136 -2.9260 4.5644
Cr 2.4808 -1.6336 7.7790
Cr -2.4650 -1.6179 7.6965
Cr 5.4593 -2.9418 4.6469
O 3.1736 -1.1787 6.4195
O -1.7722 -1.1629 6.3372
O 4.7666 -3.3967 6.0064
O -0.1792 -3.3809 5.9238
O 3.3486 -1.0637 9.0520
O -1.5973 -1.0480 8.9694
O 4.5915 -3.5118 3.3739
O -0.3541 -3.4959 3.2916
O 2.4385 -3.3243 7.8384
O 2.4377 -3.3245 1.6667
O 0.5567 -1.2349 10.6767
O 0.5558 -1.2355 4.5050
O 0.9127 -1.0000 7.8378
O 0.9121 -1.0004 1.6662
O 2.0826 -3.5592 10.6772
O 2.0815 -3.5595 4.5055
! - magnetic moment (μB/f.u.) = 3.0
! - formation energy (eV/atom) = -2.01
! - total energy (eV per atom) = -9.9599

Record 7
! RbGaBr4 r²SCAN optimized geometry; values from VASP
&SYSTEM
  ibrav = 0, nat = 24, ntyp = 3
/
ATOMIC_SPECIES
Rb 85.47 Rb.upf
Ga 69.72 Ga.upf
Br 79.90 Br.upf
CELL_PARAMETERS angstrom
7.5632 0.0000 0.0000
0.0000 9.9312 0.0000
0.0000 0.0000 11.8303
ATOMIC_POSITIONS angstrom
Rb 1.8908 6.6073 2.1313
Rb 5.6724 3.3238 9.6990
Rb 5.6724 1.6418 3.7839
Rb 1.8908 8.2894 8.0464
Ga 1.8908 1.8838 0.7459
Ga 5.6724 8.0473 11.0844
Ga 5.6724 6.8494 5.1692
Ga 1.8908 3.0818 6.6611
Br 1.8908 4.0135 4.5319
Br 5.6724 5.9176 7.2984
Br 5.6724 8.9791 1.3833
Br 1.8908 0.9521 10.4470
Br 1.8908 0.3234 2.4719
Br 5.6724 9.6077 9.3584
Br 5.6724 5.2890 3.4433
Br 1.8908 4.6422 8.3870
Br 7.5630 3.2607 0.9777
Br 0.0002 6.6704 10.8526
Br 0.0002 8.2263 4.9374
Br 3.7814 6.6704 10.8526
Br 7.5630 1.7048 6.8929
Br 3.7818 3.2607 0.9777
Br 3.7818 1.7048 6.8929
Br 3.7814 8.2263 4.9374
! - space group = Pnma (62)
! - magnetic moment (μB/f.u.) = 0.0
! - formation energy (eV/atom) = -1.38
! - total energy (eV per atom) = -14.4490

Record 8
! Te2I r²SCAN optimized geometry; values from VASP
&SYSTEM
  ibrav = 0, nat = 24, ntyp = 2
/
ATOMIC_SPECIES
Te 127.60 Te.upf
I 126.90 I.upf
CELL_PARAMETERS angstrom
-0.0962 2.9385 -2.9348
7.5349 -8.2564 -8.5136
-13.7032 -6.3809 -5.9399
ATOMIC_POSITIONS angstrom
Te -10.8944 -7.0805 -8.2024
Te 4.6300 -4.6182 -9.1858
Te -2.4623 -7.5449 -11.8838
Te -3.8021 -4.1538 -5.5044
Te -11.8134 -4.3334 -8.3619
Te 5.5490 -7.3653 -9.0264
Te -3.6995 -7.9293 -9.2881
Te -2.5649 -3.7694 -8.1002
Te -9.5561 -2.9539 -7.0546
Te 3.2917 -8.7448 -10.3337
Te -6.3775 -8.8479 -10.1201
Te 0.1131 -2.8508 -7.2682
Te -7.9492 -5.2823 -6.4985
Te 1.6847 -6.4164 -10.8898
Te -5.9542 -8.7442 -12.9701
Te -0.3103 -2.9546 -4.4181
I -10.0364 -7.0772 -11.1674
I 3.7719 -4.6215 -6.2209
I -0.9021 -10.1980 -11.6512
I -5.3623 -1.5007 -5.7370
I -6.2801 -4.9324 -9.1429
I 0.0156 -6.7663 -8.2454
I -5.1653 -11.7874 -13.1030
I -1.0991 0.0887 -4.2853
! - space group = Pnma (62)
! - magnetic moment (μB/f.u.) = 0.0
! - formation energy (eV/atom) = -0.07
! - total energy (eV per atom) = -25.1996

Record 9
! InPt3 r²SCAN optimized geometry; values from VASP
&SYSTEM
  ibrav = 0, nat = 4, ntyp = 2
/
ATOMIC_SPECIES
In 114.82 In.upf
Pt 195.08 Pt.upf
CELL_PARAMETERS angstrom
4.0180 0.0000 0.0000
0.0000 4.0189 0.0000
0.0000 0.0000 4.0189
ATOMIC_POSITIONS angstrom
In 0.0000 0.0000 0.0000
Pt 0.0000 2.0095 2.0095
Pt 2.0090 0.0000 2.0095
Pt 2.0090 2.0095 0.0000
! - space group = Pm-3m (221)
! - magnetic moment (μB/f.u.) = 0.0
! - formation energy (eV/atom) = -0.44
! - total energy (eV per atom) = -44.7004

Record 10
! NdP3O9 r²SCAN optimized geometry; values from VASP
&SYSTEM
  ibrav = 0, nat = 26, ntyp = 3
/
ATOMIC_SPECIES
Nd 144.24 Nd.upf
P 30.97 P.upf
O 16.00 O.upf
CELL_PARAMETERS angstrom
4.2729 -5.6000 0.0000
4.2729 5.6000 0.0000
0.0000 0.0000 7.2957
ATOMIC_POSITIONS angstrom
Nd 7.4884 0.0000 0.0000
Nd 1.0573 0.0000 3.6479
P 4.3568 1.9597 0.3326
P 4.1890 -1.9597 3.9805
P 4.3568 -1.9597 6.9631
P 4.1890 1.9597 3.3152
P 2.1489 0.0000 0.0000
P 6.3969 0.0000 3.6479
O 3.0888 1.2190 6.9857
O 5.4570 -1.2190 3.3378
O 3.0888 -1.2190 0.3100
O 5.4570 1.2190 3.9579
O 5.5897 -1.4170 0.2757
O 2.9561 1.4170 3.9236
O 5.5897 1.4170 7.0200
O 2.9561 -1.4170 3.3721
O 4.2729 1.4120 1.8239
O 4.2729 -1.4120 5.4718
O 7.2334 0.2166 2.4216
O 1.3124 -0.2166 6.0695
O 7.2334 -0.2166 4.8741
O 1.3124 0.2166 1.2262
O 4.4452 3.4107 3.3763
O 4.1006 -3.4107 7.0242
O 4.4452 -3.4107 3.9194
O 4.1006 3.4107 0.2715
! - space group = C222_1 (20)
! - magnetic moment (μB/f.u.) = 0.0
! - formation energy (eV/atom) = -2.75
! - total energy (eV per atom) = -11.2221

Record 11
! SiO2 r²SCAN optimized geometry; values from VASP
&SYSTEM
  ibrav = 0, nat = 12, ntyp = 2
/
ATOMIC_SPECIES
Si 28.09 Si.upf
O 16.00 O.upf
CELL_PARAMETERS angstrom
-1.0183 5.0053 0.3587
-3.7710 -1.5512 3.0970
5.1182 -0.3121 4.3978
ATOMIC_POSITIONS angstrom
Si 1.7623 1.7627 3.2399
Si -0.7189 3.0814 3.9028
Si -0.8625 3.1868 6.8003
Si 1.1817 -0.0677 1.0629
O 2.7179 0.6468 3.9267
O 0.2517 1.7791 3.8399
O 0.5923 -1.2345 4.9896
O -0.3714 4.0345 2.6505
O -2.2972 2.7142 3.8354
O -3.7320 -1.4581 3.0582
O 2.4233 3.2114 3.4891
O -2.1719 -0.1689 4.7624
! - space group = C2 (5)
! - magnetic moment (μB/f.u.) = 0.0
! - formation energy (eV/atom) = -2.97
! - total energy (eV per atom) = -9.8763

Record 12
! Ta4FeS8 r²SCAN optimized geometry; values from VASP
&SYSTEM
  ibrav = 0, nat = 26, ntyp = 3
/
ATOMIC_SPECIES
Ta 180.95 Ta.upf
Fe 55.84 Fe.upf
S 32.06 S.upf
CELL_PARAMETERS angstrom
3.3267 -5.7693 0.0000
3.3330 5.7729 0.0000
0.0000 0.0000 12.2875
ATOMIC_POSITIONS angstrom
Ta 4.9356 2.8437 9.2151
Ta 1.7240 -2.8401 3.0724
Ta 4.9368 -2.8502 3.0725
Ta 3.3380 0.0769 9.2151
Ta 3.3217 -0.0731 3.0724
Ta 1.7229 2.8539 9.2151
Ta 0.0143 -0.0083 3.0722
Ta 6.6454 0.0120 9.2153
Fe 6.6596 0.0036 6.1444
Fe 6.6596 0.0036 12.2869
S 3.3281 3.8312 1.5178
S 5.0016 0.9610 4.6158
S 3.3271 -1.9209 4.6667
S 3.3316 -3.8274 10.7700
S 5.0016 0.9610 1.5288
S 1.6582 -0.9573 10.7590
S 3.3271 -1.9209 1.4782
S 4.9805 -0.9715 7.6605
S 1.6582 -0.9574 7.6715
S 1.6791 0.9751 4.6268
S 1.6790 0.9750 1.5179
S 4.9806 -0.9714 10.7699
S 3.3316 -3.8273 7.6604
S 3.3281 3.8311 4.6269
S 3.3326 1.9246 10.8097
S 3.3326 1.9246 7.6205
! - space group = Cmcm (63)
! - magnetic moment (μB/f.u.) = 3.4
! - formation energy (eV/atom) = -1.15
! - total energy (eV per atom) = -22.1563